[1]
The following is a PBE calculation of SnRh3 after structural relaxation, from Materials Project.

Unit cell a=4.7790 b=4.7790 c=4.7790 alpha=130.00 beta=130.00 gamma=73.41
Fractional coordinates of all 4 atoms:
Rh  0.5000  0.5000  0.0000
Sn  0.0000  0.0000  0.0000
Rh  0.7500  0.2500  0.5000
Rh  0.2500  0.7500  0.5000

Calculated values
Final energy ... -27.112 eV per formula unit
Formation enthalpy at 0 K ... -0.252 eV per atom
Symmetry ... I4/mmm, No. 139



[2]
The following is a PBE calculation of Be17Os3 after structural relaxation, from Materials Project.

Unit cell a=9.8207 b=9.8207 c=9.8207 alpha=109.47 beta=109.47 gamma=109.47
Fractional coordinates of all 80 atoms:
Be  0.0549  0.4045  0.6504
Os  0.1881  0.3009  0.4891
Be  0.9131  0.4579  0.7729
Be  0.7729  0.3150  0.8599
Be  0.1959  0.6959  0.5000
Be  0.5448  0.6850  0.4579
Be  0.0869  0.5421  0.2271
Be  0.1401  0.4552  0.9131
Os  0.8119  0.3009  0.1128
Be  0.2325  0.9068  0.1393
Os  0.5109  0.8119  0.6991
Be  0.2271  0.6850  0.1401
Be  0.9068  0.6743  0.7675
Be  0.7675  0.0932  0.8607
Be  0.0000  0.4032  0.4032
Be  0.3150  0.5421  0.4552
Be  0.4032  0.4032  0.0000
Be  0.0932  0.3257  0.2325
Be  0.2459  0.5955  0.6504
Be  0.1393  0.2325  0.9068
Be  0.4045  0.3496  0.7541
Be  0.6959  0.5000  0.1959
Be  0.0000  0.0000  0.3281
Be  0.4579  0.5448  0.6850
Be  0.5968  0.0000  0.5968
Be  0.3496  0.7541  0.4045
Be  0.0000  0.3281  0.0000
Os  0.6991  0.5109  0.8119
Be  0.9068  0.1393  0.2325
Os  0.4891  0.1881  0.3009
Be  0.0869  0.8599  0.5448
Be  0.3150  0.8599  0.7729
Be  0.3257  0.2325  0.0932
Be  0.0932  0.8607  0.7675
Be  0.7675  0.9068  0.6743
Os  0.3009  0.4891  0.1881
Be  0.0000  0.6719  0.0000
Be  0.6850  0.1401  0.2271
Be  0.0000  0.5968  0.5968
Be  0.1401  0.2271  0.6850
Be  0.3496  0.9451  0.5955
Be  0.3281  0.0000  0.0000
Be  0.3041  0.5000  0.8041
Be  0.3281  0.3281  0.3281
Be  0.6504  0.0549  0.4045
Be  0.5000  0.1959  0.6959
Be  0.6850  0.4579  0.5448
Os  0.6991  0.8872  0.1881
Be  0.4045  0.6504  0.0549
Be  0.5421  0.4552  0.3150
Be  0.5955  0.3496  0.9451
Be  0.6719  0.6719  0.6719
Be  0.8607  0.7675  0.0932
Be  0.5968  0.5968  0.0000
Be  0.6504  0.2459  0.5955
Be  0.8041  0.3041  0.5000
Be  0.7541  0.4045  0.3496
Be  0.8599  0.7729  0.3150
Be  0.2325  0.0932  0.3257
Os  0.3009  0.1128  0.8119
Be  0.6719  0.0000  0.0000
Be  0.9451  0.5955  0.3496
Be  0.4552  0.3150  0.5421
Be  0.4579  0.7729  0.9131
Os  0.1128  0.8119  0.3009
Os  0.1881  0.6991  0.8872
Be  0.9131  0.1401  0.4552
Be  0.5955  0.6504  0.2459
Be  0.7729  0.9131  0.4579
Be  0.2271  0.0869  0.5421
Be  0.8599  0.5448  0.0869
Be  0.6743  0.7675  0.9068
Os  0.8872  0.1881  0.6991
Be  0.5000  0.8041  0.3041
Os  0.8119  0.6991  0.5109
Be  0.5448  0.0869  0.8599
Be  0.0000  0.0000  0.6719
Be  0.4552  0.9131  0.1401
Be  0.4032  0.0000  0.4032
Be  0.5421  0.2271  0.0869

Calculated values
Total magnetic moment ... 0.42 μB/cell
Final energy ... -102.702 eV per formula unit
Formation enthalpy at 0 K ... -0.273 eV per atom
Symmetry ... Im-3, No. 204



[3]
The following is a PBE calculation of CsErS2 after structural relaxation, from Materials Project.

Unit cell a=8.3822 b=8.3822 c=8.3822 alpha=28.09 beta=28.09 gamma=28.09
Fractional coordinates of all 4 atoms:
Cs  0.0000  0.0000  0.0000
S  0.2270  0.2270  0.2270
Er  0.5000  0.5000  0.5000
S  0.7730  0.7730  0.7730

Calculated values
Final energy ... -20.989 eV per formula unit
Formation enthalpy at 0 K ... -2.065 eV per atom
Symmetry ... R-3m, No. 166



[4]
The following is a PBE calculation of U2Co3Si after structural relaxation, from Materials Project.

Unit cell a=5.1291 b=5.1291 c=7.5079 alpha=90.00 beta=90.00 gamma=120.00
Fractional coordinates of all 12 atoms:
Co  0.3338  0.1669  0.2500
Co  0.1669  0.3338  0.7500
Si  0.0000  0.0000  0.0000
Si  0.0000  0.0000  0.5000
Co  0.8331  0.6662  0.2500
U  0.6667  0.3333  0.9292
Co  0.8331  0.1669  0.2500
U  0.3333  0.6667  0.4292
U  0.6667  0.3333  0.5708
Co  0.1669  0.8331  0.7500
Co  0.6662  0.8331  0.7500
U  0.3333  0.6667  0.0708

Calculated values
Total magnetic moment ... 2.05 μB/cell
Final energy ... -52.266 eV per formula unit
Formation enthalpy at 0 K ... -0.477 eV per atom
Symmetry ... P6_3/mmc, No. 194